## Mo2NCl7 (r2SCAN)

Data for a geometry-optimized Mo2NCl7 structure.

Output
Calculated formation energy   -913 meV/atom
Total DFT energy (no corrections)   -453.87 eV/cell
Symmetry   P-1 (2)

Lattice parameters (Å, degrees): 9.2124 10.0705 13.2339 101.65 108.68 101.56
Fractional coordinates of all 40 atoms:
Mo: 0.0268 0.3901 0.2298
Mo: 0.1155 0.9012 0.8199
Mo: 0.3465 0.0718 0.6764
Mo: 0.4418 0.5610 0.2708
Mo: 0.5582 0.4390 0.7292
Mo: 0.6535 0.9282 0.3236
Mo: 0.8845 0.0988 0.1801
Mo: 0.9732 0.6099 0.7702
N: 0.2473 0.9980 0.7473
N: 0.2490 0.4871 0.2468
N: 0.7510 0.5129 0.7532
N: 0.7527 0.0020 0.2527
Cl: 0.0062 0.9235 0.1880
Cl: 0.0659 0.2088 0.0987
Cl: 0.0688 0.5625 0.3851
Cl: 0.0896 0.5112 0.9017
Cl: 0.1100 0.2432 0.3571
Cl: 0.1780 0.9542 0.5005
Cl: 0.2386 0.7195 0.7726
Cl: 0.2448 0.2717 0.6831
Cl: 0.3065 0.9964 0.9927
Cl: 0.4191 0.7434 0.1644
Cl: 0.4404 0.5534 0.6115
Cl: 0.4574 0.4310 0.1145
Cl: 0.4723 0.0540 0.3125
Cl: 0.4766 0.7619 0.4163
Cl: 0.5234 0.2381 0.5837
Cl: 0.5277 0.9460 0.6875
Cl: 0.5426 0.5690 0.8855
Cl: 0.5596 0.4466 0.3885
Cl: 0.5809 0.2566 0.8356
Cl: 0.6935 0.0036 0.0073
Cl: 0.7552 0.7283 0.3169
Cl: 0.7614 0.2805 0.2274
Cl: 0.8220 0.0458 0.4995
Cl: 0.8900 0.7568 0.6429
Cl: 0.9104 0.4888 0.0983
Cl: 0.9312 0.4375 0.6149
Cl: 0.9341 0.7912 0.9013
Cl: 0.9938 0.0765 0.8120